Run A
The following is a DFT calculation (GGA+U) of a geometry-optimized KCo2H3Se2O10 structure.

Calculated values
SG: Cm

Lattice parameters (Å, degrees): 7.7995 7.7995 7.0828 112.31 112.31 54.50
Last column: nearest neighbours and their distance in Å.
Atoms (fractional coordinates):
K 0.0000 0.0000 0.0000  5 O 2.85-3.18
Co 0.0181 0.4734 0.8328  4 O 1.99-2.13
Co 0.4734 0.0181 0.8328  4 O 1.99-2.13
H 0.0230 0.0230 0.5057  1 O 0.99
H 0.4985 0.4985 0.9532  1 H 0.75
H 0.5441 0.5441 0.9226  1 H 0.75
Se 0.3402 0.3402 0.1970  3 O 1.74-1.77
Se 0.6345 0.6345 0.5398  3 O 1.72-1.79
O 0.1868 0.5700 0.0940  1 Se 1.74
O 0.2067 0.2067 0.0051  1 Se 1.77
O 0.2076 0.2076 0.4539  1 O 1.34
O 0.2417 0.2417 0.6611  1 O 1.34
O 0.4041 0.7895 0.6380  1 Se 1.72
O 0.5700 0.1868 0.0940  1 Se 1.74
O 0.7689 0.7689 0.7380  1 Se 1.79
O 0.7895 0.4041 0.6380  1 Se 1.72
O 0.8872 0.8872 0.5009  1 O 1.34
O 0.9487 0.9487 0.3974  1 H 0.99

Run B
The following is a DFT calculation (GGA+U) of a geometry-optimized KCo2H3Se2O10 structure.

Lattice parameters (Å, degrees): 6.6238 7.9862 9.1821 99.77 90.00 114.50
Last column: nearest neighbours and their distance in Å.
Atoms (fractional coordinates):
K 0.7517 0.5043 0.2455  8 O 2.76-2.98
H 0.4934 0.9867 0.0133  1 O 1.07
O 0.7552 0.5102 0.5486  1 Se 1.65
O 0.2494 0.4988 0.4444  1 Se 1.64
Se 0.3615 0.7232 0.4372  4 O 1.64-1.71
H 0.8935 0.7869 0.5780  1 O 0.98
O 0.6792 0.7786 0.8510  1 Se 1.69
Co 0.2585 0.0082 0.7518  6 O 2.04-2.24
Co 0.2497 0.0081 0.2518  6 O 2.04-2.24
O 0.4620 0.9239 0.1104  2 H 0.98-1.07
Se 0.6428 0.2855 0.5562  4 O 1.65-1.72
Se 0.8615 0.7232 0.9372  4 O 1.64-1.71
Co 0.7497 0.0081 0.7518  6 O 2.04-2.24
O 0.8251 0.2286 0.6407  1 Se 1.69
O 0.9620 0.9239 0.6104  2 H 0.98-1.07
Co 0.7585 0.0082 0.2518  6 O 2.04-2.24
H 0.3935 0.7869 0.0780  1 O 0.98
O 0.4036 0.2287 0.6407  1 Se 1.69
H 0.6070 0.2138 0.9221  1 O 0.98
O 0.4249 0.8500 0.6144  1 Se 1.71
O 0.3251 0.2286 0.1407  1 Se 1.69
H 0.9934 0.9867 0.5133  1 O 1.07
O 0.1792 0.7787 0.3510  1 Se 1.69
O 0.9036 0.2287 0.1407  1 Se 1.69
K 0.2516 0.5043 0.7455  8 O 2.76-2.98
O 0.5798 0.1596 0.3781  1 Se 1.72
O 0.5392 0.0784 0.8849  1 H 0.98
O 0.0798 0.1596 0.8781  1 Se 1.72
Se 0.1429 0.2855 0.0562  4 O 1.65-1.72
O 0.7494 0.4988 0.9444  1 Se 1.64
H 0.1070 0.2138 0.4221  1 O 0.98
O 0.9250 0.8500 0.1144  1 Se 1.71
O 0.0994 0.7788 0.8510  1 Se 1.69
O 0.2553 0.5102 0.0486  1 Se 1.65
O 0.5994 0.7787 0.3510  1 Se 1.69
O 0.0392 0.0784 0.3849  1 H 0.98

Sorted by energy, starting with the most stable: run B, run A.

Run A
The following is a DFT calculation (GGA+U) of a geometry-optimized K2CoH4Se2O10 structure.

Calculated values
SG: P-1

Lattice parameters (Å, degrees): 5.5994 6.6731 7.6749 111.86 96.26 105.29
Last column: nearest neighbours and their distance in Å.
Atoms (fractional coordinates):
K 0.1790 0.2575 0.2828  2 O 2.27-2.39
K 0.8210 0.7425 0.7172  2 O 2.27-2.39
Co 0.5000 0.0000 0.0000  2 O 1.80
H 0.3682 0.6253 0.8392  1 O 1.08
H 0.4825 0.6898 0.1350  1 O 1.34
H 0.5175 0.3102 0.8650  1 O 1.34
H 0.6318 0.3747 0.1608  1 O 1.08
Se 0.1931 0.7721 0.3606  2 O 1.44-1.52
Se 0.8069 0.2279 0.6394  2 O 1.44-1.52
O 0.0794 0.3836 0.7376  1 Se 1.52
O 0.2289 0.9095 0.1436  1 Co 2.06, 1 Se 2.18, 1 K 2.27, 1 H 2.28
O 0.2473 0.9216 0.6376  1 Se 1.93
O 0.3708 0.6620 0.3935  1 Se 1.44
O 0.4933 0.2780 0.0256  1 H 1.08
O 0.5067 0.7220 0.9744  1 H 1.08
O 0.6292 0.3380 0.6065  1 Se 1.44
O 0.7527 0.0784 0.3624  1 Se 1.93
O 0.7711 0.0905 0.8564  1 Co 2.06, 1 Se 2.18, 1 K 2.27, 1 H 2.28
O 0.9206 0.6164 0.2624  1 Se 1.52

Run B
The following is a DFT calculation (GGA+U) of a geometry-optimized K2CoH4Se2O10 structure.

Calculated values
SG: P-1

Lattice parameters (Å, degrees): 8.0338 9.0211 15.2373 92.50 99.52 110.33
Last column: nearest neighbours and their distance in Å.
Atoms (fractional coordinates):
K 0.0864 0.3257 0.2002  7 O 2.81-2.98
K 0.0862 0.3256 0.7002  7 O 2.81-2.97
K 0.4137 0.1743 0.0497  7 O 2.81-2.98
K 0.4136 0.1744 0.5496  7 O 2.81-2.97
K 0.5864 0.8256 0.4504  7 O 2.81-2.97
K 0.5863 0.8257 0.9503  7 O 2.81-2.98
K 0.9138 0.6744 0.2998  7 O 2.81-2.97
K 0.9136 0.6743 0.7998  7 O 2.81-2.98
Co 0.2498 0.7499 0.1250  6 O 2.11-2.14
Co 0.2500 0.7500 0.6250  6 O 2.11-2.14
Co 0.7500 0.2500 0.3750  6 O 2.11-2.14
Co 0.7502 0.2501 0.8750  6 O 2.11-2.14
H 0.0159 0.8211 0.0215  1 O 1.00
H 0.0159 0.8214 0.5216  1 O 1.00
H 0.0553 0.9382 0.1063  1 O 0.99
H 0.0548 0.9384 0.6062  1 O 0.99
H 0.4447 0.5617 0.1437  1 O 0.99
H 0.4451 0.5616 0.6438  1 O 0.99
H 0.4839 0.6788 0.2285  1 O 1.00
H 0.4841 0.6786 0.7285  1 O 1.00
H 0.5159 0.3214 0.2715  1 O 1.00
H 0.5161 0.3212 0.7715  1 O 1.00
H 0.5549 0.4384 0.3562  1 O 0.99
H 0.5553 0.4383 0.8563  1 O 0.99
H 0.9452 0.0616 0.3938  1 O 0.99
H 0.9447 0.0618 0.8937  1 O 0.99
H 0.9841 0.1786 0.4784  1 O 1.00
H 0.9841 0.1789 0.9785  1 O 1.00
Se 0.1998 0.4732 0.4463  4 O 1.66-1.70
Se 0.1996 0.4731 0.9464  4 O 1.66-1.70
Se 0.3003 0.0268 0.3036  4 O 1.66-1.70
Se 0.3006 0.0270 0.8035  4 O 1.66-1.70
Se 0.6994 0.9730 0.1965  4 O 1.66-1.70
Se 0.6997 0.9732 0.6964  4 O 1.66-1.70
Se 0.8004 0.5269 0.0536  4 O 1.66-1.70
Se 0.8002 0.5268 0.5537  4 O 1.66-1.70
O 0.0068 0.4190 0.8677  1 Se 1.70
O 0.0074 0.4200 0.3674  1 Se 1.70
O 0.1183 0.9002 0.0651  2 H 0.99-1.00
O 0.1183 0.9009 0.5651  2 H 0.99-1.00
O 0.1322 0.0165 0.3562  1 Se 1.66, 1 H 1.85
O 0.1327 0.0164 0.8563  1 Se 1.66
O 0.1770 0.3424 0.0229  1 Se 1.68, 1 H 1.73
O 0.1768 0.3425 0.5227  1 Se 1.68, 1 H 1.74
O 0.2406 0.6584 0.4938  1 Se 1.69
O 0.2407 0.6584 0.9936  1 Se 1.69
O 0.2593 0.8416 0.2563  1 Se 1.69
O 0.2597 0.8417 0.7561  1 Se 1.69
O 0.3232 0.1576 0.2272  1 Se 1.68, 1 H 1.74
O 0.3232 0.1577 0.7271  1 Se 1.68, 1 H 1.74
O 0.3675 0.4835 0.8936  1 Se 1.66
O 0.3681 0.4837 0.3938  1 Se 1.66, 1 H 1.85
O 0.3816 0.5993 0.6849  2 H 0.99-1.00
O 0.3815 0.5998 0.1848  2 H 0.99-1.00
O 0.4928 0.0802 0.3825  1 Se 1.70
O 0.4935 0.0810 0.8822  1 Se 1.70
O 0.5065 0.9190 0.1178  1 Se 1.70
O 0.5072 0.9198 0.6175  1 Se 1.70
O 0.6185 0.4002 0.8152  2 H 0.99-1.00
O 0.6184 0.4007 0.3151  2 H 0.99-1.00
O 0.6319 0.5163 0.6062  1 Se 1.66, 1 H 1.85
O 0.6325 0.5165 0.1064  1 Se 1.66
O 0.6768 0.8423 0.2729  1 Se 1.68, 1 H 1.74
O 0.6768 0.8424 0.7728  1 Se 1.68, 1 H 1.74
O 0.7403 0.1583 0.2439  1 Se 1.69
O 0.7407 0.1584 0.7437  1 Se 1.69
O 0.7593 0.3416 0.0064  1 Se 1.69
O 0.7594 0.3416 0.5062  1 Se 1.69
O 0.8232 0.6575 0.4773  1 Se 1.68, 1 H 1.74
O 0.8230 0.6576 0.9771  1 Se 1.68, 1 H 1.73
O 0.8673 0.9836 0.1437  1 Se 1.66
O 0.8678 0.9835 0.6438  1 Se 1.66, 1 H 1.85
O 0.8817 0.0991 0.4349  2 H 0.99-1.00
O 0.8817 0.0998 0.9349  2 H 0.99-1.00
O 0.9926 0.5800 0.6326  1 Se 1.70
O 0.9932 0.5810 0.1323  1 Se 1.70

Sorted by energy, starting with the most stable: run B, run A.